# Li2FeTeO6 PBE with a Hubbard U optimized geometry
# Calculated volume ... 103.4 Å³/cell
# Formation energy from the elements ... -17.062 eV per formula unit
data_Li2FeTeO6
_cell_length_a 5.1263
_cell_length_b 5.1344
_cell_length_c 5.4010
_cell_angle_alpha 118.32
_cell_angle_beta 90.02
_cell_angle_gamma 119.70
_symmetry_space_group_name_H-M 'P 1'
_symmetry_Int_Tables_number 1
_symmetry_space_group_name_Hall 'P 1'
loop_
_atom_site_label
_atom_site_type_symbol
_atom_site_fract_x
_atom_site_fract_y
_atom_site_fract_z
Li1 Li 0.0000 0.0000 0.0000
Li2 Li 0.4862 0.9802 0.4794
Fe1 Fe 0.2772 0.5595 0.8475
Te1 Te 0.7796 0.5650 0.3549
O1 O 0.0455 0.7173 0.1340
O2 O 0.1543 0.7201 0.6298
O3 O 0.4078 0.4638 0.1375
O4 O 0.5533 0.4573 0.6234
O5 O 0.6679 0.0808 0.1352
O6 O 0.8981 0.0577 0.6270



# Li2Fe3TeO8 PBE with a Hubbard U optimized geometry
# Calculated volume ... 324.5 Å³/cell
# Formation energy from the elements ... -25.212 eV per formula unit
data_Li2Fe3TeO8
_cell_length_a 6.0633
_cell_length_b 6.1396
_cell_length_c 10.5071
_cell_angle_alpha 106.15
_cell_angle_beta 90.17
_cell_angle_gamma 118.91
_symmetry_space_group_name_H-M 'P 1'
_symmetry_Int_Tables_number 1
_symmetry_space_group_name_Hall 'P 1'
loop_
_atom_site_label
_atom_site_type_symbol
_atom_site_fract_x
_atom_site_fract_y
_atom_site_fract_z
Li1 Li 0.0000 0.0000 0.0000
Li2 Li 0.0710 0.1600 0.3476
Li3 Li 0.4968 0.9981 0.4916
Li4 Li 0.5778 0.1674 0.8602
Fe1 Fe 0.0347 0.5788 0.1753
Fe2 Fe 0.0365 0.5830 0.6757
Fe3 Fe 0.2887 0.5853 0.9307
Fe4 Fe 0.5397 0.5825 0.1769
Fe5 Fe 0.5396 0.5866 0.6753
Fe6 Fe 0.7866 0.5810 0.4226
Te1 Te 0.0403 0.0848 0.6777
Te2 Te 0.5357 0.0816 0.1743
O1 O 0.1514 0.8528 0.5693
O2 O 0.1580 0.3237 0.5674
O3 O 0.1990 0.3872 0.0552
O4 O 0.2025 0.8470 0.0544
O5 O 0.3810 0.3234 0.7899
O6 O 0.3819 0.7692 0.7881
O7 O 0.4178 0.3092 0.2833
O8 O 0.4234 0.8450 0.2836
O9 O 0.6385 0.8362 0.0560
O10 O 0.6458 0.3123 0.0623
O11 O 0.6946 0.3950 0.5700
O12 O 0.6981 0.8573 0.5711
O13 O 0.8692 0.3021 0.2859
O14 O 0.8719 0.7757 0.2878
O15 O 0.9202 0.8463 0.7880
O16 O 0.9385 0.3271 0.7922



# Li4VFeTe2O12 PBE with a Hubbard U optimized geometry
# Calculated volume ... 205.5 Å³/cell
# Maximum piezoelectric response ... 6.808 C/m2
# Formation energy from the elements ... -38.775 eV per formula unit
data_Li4VFeTe2O12
_cell_length_a 5.1258
_cell_length_b 5.3806
_cell_length_c 7.4681
_cell_angle_alpha 93.74
_cell_angle_beta 90.07
_cell_angle_gamma 90.29
_symmetry_space_group_name_H-M 'P 1'
_symmetry_Int_Tables_number 1
_symmetry_space_group_name_Hall 'P 1'
loop_
_atom_site_label
_atom_site_type_symbol
_atom_site_fract_x
_atom_site_fract_y
_atom_site_fract_z
Li1 Li 0.0000 0.0000 0.0000
Li2 Li 0.0011 0.9853 0.5205
Li3 Li 0.4979 0.4527 0.5312
Li4 Li 0.5061 0.4829 0.0021
V1 V 0.0046 0.5326 0.2421
Fe1 Fe 0.5013 0.0351 0.7325
Te1 Te 0.0078 0.5460 0.7400
Te2 Te 0.5006 0.0330 0.2290
O1 O 0.1288 0.5620 0.9852
O2 O 0.1803 0.8635 0.2878
O3 O 0.1916 0.2508 0.6606
O4 O 0.3006 0.7348 0.6559
O5 O 0.3034 0.3663 0.2867
O6 O 0.3800 0.0725 0.9894
O7 O 0.6252 0.0698 0.4684
O8 O 0.6882 0.3753 0.7777
O9 O 0.7001 0.7442 0.1538
O10 O 0.8062 0.2562 0.1612
O11 O 0.8338 0.8644 0.7747
O12 O 0.8801 0.5560 0.4651



# Li4V3Fe3Te2O16 PBE with a Hubbard U optimized geometry
# Calculated volume ... 320.8 Å³/cell
# Formation energy from the elements ... -56.934 eV per formula unit
data_Li4V3Fe3Te2O16
_cell_length_a 5.9458
_cell_length_b 6.0222
_cell_length_c 10.2318
_cell_angle_alpha 89.49
_cell_angle_beta 89.83
_cell_angle_gamma 61.12
_symmetry_space_group_name_H-M 'P 1'
_symmetry_Int_Tables_number 1
_symmetry_space_group_name_Hall 'P 1'
loop_
_atom_site_label
_atom_site_type_symbol
_atom_site_fract_x
_atom_site_fract_y
_atom_site_fract_z
Li1 Li 0.0000 0.0000 0.0000
Li2 Li 0.0053 0.0059 0.5100
Li3 Li 0.3228 0.3399 0.4164
Li4 Li 0.6685 0.6819 0.9220
V1 V 0.1991 0.6510 0.7423
V2 V 0.3391 0.8210 0.2356
V3 V 0.8259 0.8356 0.2304
Fe1 Fe 0.1586 0.1890 0.7346
Fe2 Fe 0.6566 0.1757 0.7302
Fe3 Fe 0.8349 0.3460 0.2270
Te1 Te 0.3420 0.3154 0.0090
Te2 Te 0.6775 0.6714 0.5235
O1 O 0.9998 0.0138 0.3252
O2 O 0.0143 0.9902 0.8184
O3 O 0.0260 0.4996 0.8479
O4 O 0.1253 0.7248 0.1271
O5 O 0.1693 0.1514 0.1114
O6 O 0.3110 0.3572 0.6232
O7 O 0.3349 0.8425 0.6222
O8 O 0.4710 0.5257 0.8491
O9 O 0.4720 0.0515 0.8720
O10 O 0.4877 0.5326 0.3287
O11 O 0.5176 0.9861 0.3310
O12 O 0.6613 0.6779 0.1240
O13 O 0.6820 0.1590 0.1096
O14 O 0.8381 0.3366 0.6115
O15 O 0.8506 0.8281 0.6152
O16 O 0.9698 0.5276 0.3383



# Li2TiFe2O5 PBE with a Hubbard U optimized geometry
# Calculated volume ... 190.8 Å³/cell
# Formation energy from the elements ... -23.214 eV per formula unit
data_Li2TiFe2O5
_cell_length_a 4.3327
_cell_length_b 5.0749
_cell_length_c 9.5974
_cell_angle_alpha 92.35
_cell_angle_beta 90.01
_cell_angle_gamma 115.16
_symmetry_space_group_name_H-M 'P -1'
_symmetry_Int_Tables_number 2
_symmetry_space_group_name_Hall '-P 1'
loop_
_atom_site_label
_atom_site_type_symbol
_atom_site_fract_x
_atom_site_fract_y
_atom_site_fract_z
Li1 Li 0.0951 0.1948 0.2983
Li2 Li 0.3070 0.6053 0.9012
Ti1 Ti 0.3565 0.7884 0.1941
Fe1 Fe 0.0000 0.0000 0.0000
Fe2 Fe 0.2083 0.4174 0.6057
Fe3 Fe 0.5000 0.0000 0.5000
O1 O 0.0000 0.0000 0.5000
O2 O 0.0771 0.2020 0.8046
O3 O 0.2171 0.4251 0.1015
O4 O 0.3059 0.6047 0.3783
O5 O 0.4065 0.8244 0.7090
O6 O 0.5000 0.0000 0.0000



# Li3Ti2FeO6 PBE with a Hubbard U optimized geometry
# Calculated volume ... 229.1 Å³/cell
# Formation energy from the elements ... -32.442 eV per formula unit
data_Li3Ti2FeO6
_cell_length_a 13.0996
_cell_length_b 2.9628
_cell_length_c 6.0803
_cell_angle_alpha 90.00
_cell_angle_beta 103.84
_cell_angle_gamma 90.00
_symmetry_space_group_name_H-M 'C 1 2/m 1'
_symmetry_Int_Tables_number 12
_symmetry_space_group_name_Hall '-C 2y'
loop_
_atom_site_label
_atom_site_type_symbol
_atom_site_fract_x
_atom_site_fract_y
_atom_site_fract_z
Li1 Li 0.0000 0.0000 0.0000
Li2 Li 0.1655 0.5000 0.3338
Ti1 Ti 0.1620 0.5000 0.8270
Fe1 Fe 0.0000 0.0000 0.5000
O1 O 0.0101 0.5000 0.7575
O2 O 0.1708 0.0000 0.6047
O3 O 0.1741 0.0000 0.0680



no.,calculated total energy (eV/atom)
1,-5.5803
2,-6.0645
3,-5.8713
4,-6.4223
5,-6.8660
6,-7.1450